1.
Compound: Sc2V3Ge4
Source: the Materials Project database
Functional: GGA-PBE
Structure: relaxed

```
Sc2V3Ge4
1.0
6.637 0.000 0.000
0.000 6.786 0.000
0.000 0.000 12.795
Ge V Sc
16 12 8
Cartesian
0.242 5.957 3.199 Ge
5.380 2.405 3.199 Ge
3.560 4.223 3.199 Ge
3.077 2.564 9.596 Ge
1.180 3.677 0.547 Ge
4.499 6.503 0.547 Ge
5.457 3.110 12.249 Ge
5.457 3.110 6.944 Ge
1.180 3.677 5.851 Ge
2.139 0.283 12.249 Ge
2.139 0.283 6.944 Ge
4.576 5.798 9.596 Ge
4.499 6.503 5.851 Ge
2.061 0.988 3.199 Ge
6.396 0.830 9.596 Ge
1.258 4.381 9.596 Ge
4.375 1.127 11.164 V
2.262 5.659 4.766 V
1.057 2.266 8.029 V
1.091 3.494 3.199 V
1.057 2.266 11.164 V
5.581 4.520 4.766 V
5.581 4.520 1.631 V
5.546 3.292 9.596 V
4.410 6.685 3.199 V
4.375 1.127 8.029 V
2.227 0.101 9.596 V
2.262 5.659 1.631 V
3.258 4.576 11.603 Sc
0.061 1.183 5.206 Sc
6.577 5.603 11.603 Sc
6.577 5.603 7.590 Sc
3.379 2.210 1.192 Sc
3.379 2.210 5.206 Sc
3.258 4.576 7.590 Sc
0.061 1.183 1.192 Sc
```

## Properties
Space-group type   No. 62

=====

2.
Compound: DyTlTe2
Source: the Materials Project database
Functional: GGA-PBE
Structure: relaxed

```
DyTlTe2
1.0
1.719 -3.947 1.114
3.638 -1.505 -2.068
6.522 1.844 5.348
Dy Tl Te
1 1 2
Cartesian
0.000 0.000 0.000 Dy
5.939 -1.804 2.197 Tl
2.793 -1.039 0.887 Te
9.085 -2.570 3.507 Te
```

## Properties
Total energy after the MP2020 corrections   -18.3 eV for the cell shown
Space-group type   No. 166

=====

3.
Compound: La2Nb2N2O5
Source: the Materials Project database
Functional: GGA-PBE
Structure: relaxed

```
La2Nb2N2O5
1.0
4.330 -0.744 6.226
6.193 -0.614 -4.397
5.912 4.672 1.095
O N Nb La
10 4 4 4
Cartesian
5.642 1.897 3.746 O
5.258 -0.679 0.933 O
4.700 -0.719 4.117 O
8.016 3.726 4.191 O
7.391 1.599 6.175 O
10.804 0.768 1.894 O
5.815 -0.640 -2.241 O
7.486 -0.477 4.047 O
5.635 2.546 1.009 O
9.863 1.352 4.480 O
2.031 -0.238 0.354 N
14.404 3.552 2.571 N
8.686 1.690 -1.208 N
8.111 1.650 2.066 N
9.110 0.169 2.909 Nb
6.879 3.113 2.554 Nb
6.069 0.361 5.229 Nb
8.950 2.854 5.765 Nb
3.871 0.840 2.084 La
12.089 2.441 3.545 La
9.933 2.828 0.374 La
6.979 0.520 -0.172 La
```

## Properties
Energy above the lowest structure with this stoichiometry   24 meV/atom
Total energy after the MP2020 corrections   -204.0 eV for the cell shown
Space-group type   No. 5

=====

4.
Compound: Zr3Mn8Si
Source: the Materials Project database
Functional: GGA-PBE
Structure: relaxed

```
Zr3Mn8Si
1.0
3.172 0.325 3.658
-4.759 -0.205 0.926
0.414 -8.031 0.353
Mn Zr Si
8 3 1
Cartesian
0.734 -3.838 2.923 Mn
-0.270 -5.850 3.971 Mn
2.220 -5.743 3.487 Mn
-2.266 -2.160 0.589 Mn
-0.722 -2.002 2.371 Mn
0.940 -7.826 3.098 Mn
0.561 -5.913 1.574 Mn
-3.039 -2.102 2.822 Mn
-1.885 -4.494 2.033 Zr
-1.728 -7.539 2.167 Zr
0.033 -0.636 0.028 Zr
0.181 -3.502 0.154 Si
```

## Properties
Total energy after the MP2020 corrections   -106.4 eV for the cell shown
Space-group type   No. 156

=====

5.
Compound: La2Zn2O5
Source: the Materials Project database
Functional: GGA-PBE
Structure: relaxed

```
La2Zn2O5
1.0
-4.508 -0.322 -3.195
-0.777 -5.526 1.654
-8.954 4.892 12.141
O Zn La
20 8 8
Cartesian
-5.884 -0.697 3.370 O
-8.187 0.934 4.313 O
-8.690 2.900 7.960 O
-5.939 1.051 5.923 O
-12.346 3.205 9.951 O
-8.356 -0.259 7.229 O
-1.894 -4.161 0.649 O
-3.376 1.268 4.428 O
-12.808 -1.161 8.808 O
-6.052 -1.889 6.287 O
-10.301 0.804 9.866 O
-3.086 -2.200 3.790 O
-3.939 -1.760 0.733 O
-10.098 3.323 11.561 O
-1.431 0.205 1.791 O
-5.550 -3.856 2.640 O
-10.864 -2.224 6.172 O
-8.300 -2.007 4.676 O
-4.142 -4.279 -0.962 O
-11.154 1.245 6.809 O
-7.278 -4.295 1.542 Zn
-7.120 -0.478 5.300 Zn
-4.724 -2.003 2.502 Zn
-9.516 1.047 8.097 Zn
-6.962 3.339 9.057 Zn
-2.643 -2.924 -0.771 Zn
-4.477 2.446 6.071 Zn
0.000 0.000 0.000 Zn
-8.353 -1.068 2.337 La
-8.498 -2.590 7.426 La
-10.994 -1.226 10.810 La
-3.245 0.270 -0.211 La
-5.742 1.634 3.174 La
-5.857 -2.432 -1.048 La
-5.887 0.112 8.263 La
-8.383 1.476 11.648 La
```

## Properties
Total energy after the MP2020 corrections   -251.3 eV for the cell shown
Space-group type   No. 62

=====

6.
Compound: Nd2S2F
Source: the Materials Project database
Functional: GGA-PBE
Structure: relaxed

```
Nd2S2F
1.0
-2.251 -0.245 -3.138
2.324 -2.731 -1.454
-6.331 -8.145 5.178
F S Nd
1 2 2
Cartesian
0.037 -1.488 -2.296 F
-2.586 -4.863 -0.150 S
-3.671 -6.258 0.737 S
-1.202 -3.081 -1.283 Nd
-5.056 -8.040 1.870 Nd
```

## Properties
Total energy after the MP2020 corrections   -25.5 eV for the cell shown
Space-group type   No. 123

=====

7.
Compound: Cr3Co2
Source: the Materials Project database
Functional: GGA-PBE
Structure: relaxed

```
Cr3Co2
1.0
0.000 0.000 4.494
8.643 -0.053 0.000
-0.053 8.643 0.000
Co Cr
12 18
Cartesian
5.899 2.691 1.123 Co
2.042 3.744 2.229 Co
3.744 2.042 2.229 Co
8.059 2.212 4.493 Co
6.378 0.531 4.493 Co
0.000 0.000 0.005 Co
4.295 4.295 2.298 Co
2.212 8.059 4.493 Co
2.691 5.899 1.123 Co
0.531 6.378 4.493 Co
6.548 4.846 2.229 Co
4.846 6.548 2.229 Co
0.310 5.416 2.236 Cr
8.280 3.174 2.236 Cr
1.573 1.573 3.374 Cr
4.570 7.492 0.005 Cr
7.747 0.843 2.241 Cr
2.724 5.866 3.376 Cr
7.026 7.026 1.128 Cr
3.377 3.377 0.013 Cr
1.098 4.020 0.005 Cr
7.492 4.570 0.005 Cr
4.020 1.098 0.005 Cr
7.017 7.017 3.374 Cr
3.174 8.280 2.236 Cr
5.866 2.724 3.376 Cr
5.213 5.213 0.013 Cr
5.416 0.310 2.236 Cr
0.843 7.747 2.241 Cr
1.564 1.564 1.128 Cr
```

## Properties
Space-group type   No. 35

=====

8.
Compound: Ag15W7N19
Source: the Materials Project database
Functional: GGA-PBE
Structure: relaxed

```
Ag15W7N19
1.0
6.556 0.013 0.028
-2.207 11.658 -0.325
-1.291 -0.891 19.330
Ag N W
30 38 14
Cartesian
-0.342 9.946 0.127 Ag
0.140 10.472 2.973 Ag
-1.169 1.408 15.160 Ag
2.099 7.400 4.718 Ag
0.409 9.502 8.711 Ag
-0.987 10.382 11.022 Ag
1.679 6.666 8.143 Ag
5.926 0.565 1.997 Ag
3.399 0.834 18.906 Ag
3.170 3.524 8.248 Ag
4.045 0.398 8.010 Ag
-0.113 7.256 10.785 Ag
-2.082 10.644 13.889 Ag
2.917 0.308 16.060 Ag
5.139 0.136 5.143 Ag
2.648 1.278 10.322 Ag
0.673 9.884 5.807 Ag
4.226 9.372 3.872 Ag
2.384 0.895 13.225 Ag
-0.272 3.866 1.005 Ag
-1.749 5.383 9.503 Ag
3.973 7.217 14.831 Ag
-0.916 3.563 4.202 Ag
0.499 7.537 2.084 Ag
1.378 4.114 10.889 Ag
2.174 5.835 -0.149 Ag
2.558 3.242 16.949 Ag
0.958 3.380 14.315 Ag
-2.869 10.215 17.036 Ag
3.329 6.914 18.028 Ag
2.292 8.706 8.614 N
-1.038 3.606 14.983 N
4.244 7.286 10.475 N
4.095 7.174 4.050 N
2.650 2.191 0.594 N
0.407 8.589 18.438 N
0.223 7.824 5.439 N
-1.618 9.972 9.015 N
0.765 2.074 10.419 N
3.532 7.371 0.672 N
3.198 0.396 6.057 N
-0.134 6.088 16.707 N
1.352 1.477 16.806 N
-0.772 5.873 1.989 N
3.876 5.797 13.205 N
0.660 8.700 15.334 N
4.178 10.320 0.866 N
0.616 2.197 6.211 N
2.441 8.583 12.821 N
-0.819 4.983 5.827 N
5.163 2.502 2.450 N
3.191 4.691 2.326 N
-1.187 3.494 8.558 N
2.834 2.956 13.594 N
4.646 -0.619 14.982 N
-1.588 11.399 4.050 N
3.829 4.907 17.044 N
2.397 2.080 3.699 N
-0.475 3.409 18.361 N
1.599 6.149 11.352 N
4.676 0.808 10.018 N
-1.121 0.460 18.166 N
-0.140 10.384 12.975 N
1.458 4.631 7.681 N
-2.106 8.278 16.582 N
4.550 7.458 7.196 N
1.705 9.303 2.226 N
-1.493 3.322 11.836 N
4.059 8.380 8.826 W
-1.001 2.400 10.207 W
0.014 3.780 7.044 W
3.330 2.814 2.255 W
0.296 1.610 18.323 W
1.358 9.698 13.900 W
4.337 3.948 13.423 W
-0.273 7.966 16.778 W
3.043 7.000 11.988 W
1.699 1.082 5.133 W
-1.280 6.832 5.609 W
2.762 9.170 0.710 W
-1.020 4.438 16.763 W
4.077 6.342 2.269 W
```

## Properties
Total energy after the MP2020 corrections   -576.4 eV for the cell shown
Space-group type   No. 2

=====

9.
Compound: SmY3
Source: the Materials Project database
Functional: GGA-PBE
Structure: relaxed

```
SmY3
1.0
3.658 -6.337 0.000
3.658 6.337 0.000
0.000 0.000 5.748
Sm Y
2 6
Cartesian
3.658 2.112 4.311 Sm
3.658 -2.112 1.437 Sm
1.826 1.054 1.437 Y
3.658 -4.228 4.311 Y
5.491 -1.054 4.311 Y
5.491 1.054 1.437 Y
1.826 -1.054 4.311 Y
3.658 4.228 1.437 Y
```

## Properties
Energy above the lowest structure with this stoichiometry   0 meV/atom
Space-group type   No. 194

=====

10.
Compound: TiVCuS4
Source: the Materials Project database
Functional: GGA-PBE
Structure: relaxed

```
TiVCuS4
1.0
-5.557 -3.758 2.125
-3.593 5.945 1.124
2.877 -1.252 -6.298
Ti Cu S V
2 2 8 2
Cartesian
-1.796 2.973 0.562 Ti
1.439 -0.626 -3.149 Ti
-1.806 -0.981 -0.640 Cu
-4.467 1.916 -2.409 Cu
-3.707 -1.991 -1.293 S
-6.832 1.581 2.379 S
-0.816 -0.027 -2.420 S
0.559 -0.646 -5.428 S
-5.456 0.963 -0.629 S
-5.117 -1.260 1.822 S
-1.155 2.196 -4.871 S
-2.566 2.926 -1.756 S
-4.575 1.094 1.625 V
-0.358 2.347 -2.587 V
```

## Properties
Total energy after the MP2020 corrections   -92.8 eV for the cell shown
Space-group type   No. 74

=====

11.
Compound: NbSeCl3
Source: the Materials Project database
Functional: GGA-PBE
Structure: relaxed

```
NbSeCl3
1.0
7.097 0.000 0.000
0.000 6.649 0.000
0.000 1.760 12.010
Cl Nb Se
12 4 4
Cartesian
1.589 5.336 6.872 Cl
3.188 5.612 3.626 Cl
2.344 5.739 0.491 Cl
2.344 1.790 5.514 Cl
1.589 3.953 11.143 Cl
5.508 3.072 5.138 Cl
3.188 1.917 2.379 Cl
3.910 2.797 8.384 Cl
3.910 6.492 9.630 Cl
4.753 2.670 11.519 Cl
5.508 4.456 0.867 Cl
4.753 6.619 6.496 Cl
4.528 1.101 4.249 Nb
2.570 1.981 10.254 Nb
2.570 7.308 7.761 Nb
4.528 6.428 1.756 Nb
0.648 2.307 8.391 Se
6.450 1.427 2.387 Se
6.450 6.102 3.618 Se
0.648 6.982 9.623 Se
```

## Properties
Total energy after the MP2020 corrections   -106.0 eV for the cell shown
Space-group type   No. 13

=====

12.
Compound: CsNiN
Source: the Materials Project database
Functional: GGA-PBE
Structure: relaxed

```
CsNiN
1.0
-9.452 2.134 6.004
-0.754 -3.434 0.033
3.408 -0.694 5.612
Ni N Cs
4 4 4
Cartesian
-3.403 -0.089 6.560 Ni
2.482 -1.392 5.467 Ni
-9.280 -0.601 6.182 Ni
-3.394 -1.905 5.089 Ni
-3.089 -0.177 4.581 N
-8.503 1.031 6.449 N
-3.709 -1.816 7.069 N
1.706 -3.024 5.201 N
-6.574 -1.175 8.246 Cs
-0.596 -2.498 7.306 Cs
-6.202 0.505 4.343 Cs
-0.223 -0.818 3.404 Cs
```

## Properties
Energy above the lowest structure with this stoichiometry   0 meV/atom
Total energy after the MP2020 corrections   -60.1 eV for the cell shown
Space-group type   No. 62

=====

13.
Compound: ScCuSi
Source: the Materials Project database
Functional: GGA-PBE
Structure: relaxed

```
ScCuSi
1.0
3.207 -5.555 0.000
3.207 5.555 0.000
0.000 0.000 3.943
Sc Si Cu
3 3 3
Cartesian
1.830 -3.169 1.971 Sc
1.830 3.169 1.971 Sc
2.756 0.000 1.971 Sc
3.207 1.852 0.000 Si
0.000 0.000 1.971 Si
3.207 -1.852 0.000 Si
0.779 -1.349 0.000 Cu
4.857 0.000 0.000 Cu
0.779 1.349 0.000 Cu
```

## Properties
Total energy after the MP2020 corrections   -53.4 eV for the cell shown
Space-group type   No. 189

=====

14.
Compound: DyAlGe
Source: the Materials Project database
Functional: GGA-PBE
Structure: relaxed

```
DyAlGe
1.0
2.045 -5.218 0.000
2.045 5.218 0.000
0.000 0.000 5.751
Al Dy Ge
2 2 2
Cartesian
0.000 0.000 2.876 Al
0.000 0.000 0.000 Al
2.045 1.976 4.313 Dy
2.045 -1.976 1.438 Dy
2.045 -1.110 4.313 Ge
2.045 1.110 1.438 Ge
```

## Properties
Space-group type   No. 63

=====

| no. | final energy (eV/atom) |
| --- | --- |
| 1 | -7.115 |
| 2 | -4.366 |
| 3 | -8.960 |
| 4 | -8.869 |
| 5 | -6.599 |
| 6 | -4.799 |
| 7 | -8.557 |
| 8 | -6.862 |
| 9 | -6.017 |
| 10 | -6.338 |
| 11 | -4.930 |
| 12 | -4.889 |
| 13 | -5.954 |
| 14 | -4.980 |